# 1
Compound: Lu8In3Co
Source: Materials Project
Functional: PBE
Structure: optimized geometry

a b c (Å): 10.1502 10.1502 6.8495
angles (deg): 90.00 90.00 120.00
Fractional positions:
Lu (0.0000, 0.0000, 0.2739)
Lu (0.0000, 0.0000, 0.7739)
Lu (0.0668, 0.5334, 0.2921)
Lu (0.1789, 0.3578, 0.0000)
Lu (0.1789, 0.8211, 0.0000)
Lu (0.3333, 0.6667, 0.6781)
Lu (0.3578, 0.1789, 0.5000)
Lu (0.4666, 0.5334, 0.2921)
Lu (0.4666, 0.9332, 0.2921)
Lu (0.5334, 0.0668, 0.7921)
Lu (0.5334, 0.4666, 0.7921)
Lu (0.6422, 0.8211, 0.0000)
Lu (0.6667, 0.3333, 0.1781)
Lu (0.8211, 0.1789, 0.5000)
Lu (0.8211, 0.6422, 0.5000)
Lu (0.9332, 0.4666, 0.7921)
In (0.1635, 0.3270, 0.5381)
In (0.1635, 0.8365, 0.5381)
In (0.3270, 0.1635, 0.0381)
In (0.6730, 0.8365, 0.5381)
In (0.8365, 0.1635, 0.0381)
In (0.8365, 0.6730, 0.0381)
Co (0.3333, 0.6667, 0.0635)
Co (0.6667, 0.3333, 0.5635)

Magnetization, μB per atom: 0.000
Energy relative to the elements, eV per atom: -0.354
Total DFT energy (no corrections), eV/atom: -4.648

# 2
Compound: CuC3N2O5
Source: Materials Project
Functional: PBE
Structure: optimized geometry

a b c (Å): 7.5585 7.7903 8.8175
angles (deg): 91.65 110.69 114.65
Fractional positions:
Cu (0.1431, 0.1005, 0.1284)
Cu (0.8569, 0.8995, 0.8716)
C (0.1950, 0.7617, 0.9963)
C (0.2027, 0.2216, 0.8171)
C (0.4361, 0.7302, 0.5935)
C (0.5639, 0.2698, 0.4065)
C (0.7973, 0.7784, 0.1829)
C (0.8050, 0.2383, 0.0037)
N (0.2362, 0.6490, 0.4724)
N (0.3331, 0.8408, 0.5568)
N (0.6669, 0.1592, 0.4432)
N (0.7638, 0.3510, 0.5276)
O (0.0450, 0.6626, 0.8750)
O (0.0585, 0.1357, 0.6893)
O (0.3484, 0.8558, 0.1169)
O (0.3504, 0.3114, 0.9425)
O (0.4056, 0.2882, 0.3242)
O (0.5944, 0.7118, 0.6758)
O (0.6496, 0.6886, 0.0575)
O (0.6516, 0.1442, 0.8831)
O (0.9415, 0.8643, 0.3107)
O (0.9550, 0.3374, 0.1250)

E above lowest polymorph, meV per atom: 0.0
Magnetization, μB per atom: 0.030
Energy relative to the elements, eV per atom: -0.641
Total DFT energy (no corrections), eV/atom: -6.983

# 3
Compound: CeSe2
Source: Materials Project
Functional: PBE
Structure: optimized geometry

a b c (Å): 7.4725 7.4725 7.4725
angles (deg): 126.42 90.44 113.49
Fractional positions:
Ce (0.2500, 0.2500, 0.0000)
Ce (0.7500, 0.7500, 0.0000)
Se (0.1170, 0.1994, 0.3164)
Se (0.3830, 0.6994, 0.0825)
Se (0.6170, 0.3006, 0.9175)
Se (0.8830, 0.8006, 0.6836)

Magnetization, μB per atom: 0.000
Energy relative to the elements, eV per atom: -1.415
Total DFT energy (no corrections), eV/atom: -5.408